VASP calculation (PBE-GGA) on a relaxed structure of K2RbMoI6.

POSCAR file:
```
K2RbMoI6
1.0
6.855 -1.814 5.286
1.500 4.971 7.159
-1.401 -3.334 8.071
I Rb K Mo
6 1 2 1
Direct
0.225 0.775 0.775
0.775 0.225 0.775
0.225 0.225 0.775
0.775 0.225 0.225
0.225 0.775 0.225
0.775 0.775 0.225
0.500 0.500 0.500
0.250 0.250 0.250
0.750 0.750 0.750
0.000 0.000 0.000
```

***

VASP calculation (PBE-GGA) on a relaxed structure of SiH17S3N5.

POSCAR file:
```
SiH17S3N5
1.0
-4.781 -1.285 4.109
-3.121 -2.327 -5.286
6.318 -11.121 3.015
H N S Si
34 10 6 2
Direct
0.769 0.539 0.959
0.373 0.965 0.871
0.187 0.287 0.406
0.627 0.035 0.129
0.777 0.265 0.125
0.289 0.172 0.696
0.813 0.713 0.594
0.480 0.833 0.357
0.839 0.969 0.604
0.231 0.461 0.041
0.224 0.576 0.656
0.706 0.866 0.435
0.012 0.170 0.471
0.239 0.340 0.146
0.520 0.399 0.351
0.244 0.918 0.979
0.761 0.660 0.854
0.328 0.612 0.547
0.294 0.134 0.565
0.480 0.601 0.649
0.776 0.424 0.344
0.575 0.473 0.868
0.223 0.735 0.875
0.520 0.167 0.643
0.105 0.959 0.872
0.756 0.082 0.021
0.711 0.828 0.304
0.358 0.939 0.638
0.988 0.830 0.529
0.672 0.388 0.453
0.425 0.527 0.132
0.895 0.041 0.128
0.161 0.031 0.396
0.642 0.061 0.362
0.161 0.163 0.447
0.734 0.517 0.880
0.763 0.105 0.102
0.237 0.895 0.898
0.636 0.899 0.364
0.839 0.837 0.553
0.655 0.343 0.376
0.364 0.101 0.636
0.345 0.657 0.624
0.266 0.483 0.120
0.173 0.641 0.346
0.802 0.604 0.138
0.752 0.037 0.852
0.827 0.359 0.654
0.198 0.396 0.862
0.248 0.963 0.148
0.886 0.316 0.807
0.114 0.684 0.193
```

***

In μB per formula unit, the size of the total moment values for the records above are, in order, 3.033, 0.002.
In eV/atom, the DFT formation energy values for the records above are, in order, -1.0880, -0.5501.